MgCoNi4O8: relaxed, PBE+U.

Structure (POSCAR):
```
MgCoNi4O8
1.0
5.094 -2.942 0.000
5.094 2.942 0.000
-0.763 0.000 5.227
Mg Co Ni O
1 1 4 8
Direct
0.000 0.000 0.000 Mg
0.146 0.146 0.566 Co
0.146 0.647 0.563 Ni
0.290 0.290 0.124 Ni
0.646 0.646 0.566 Ni
0.647 0.146 0.563 Ni
0.299 0.848 0.762 O
0.315 0.315 0.779 O
0.441 0.996 0.369 O
0.453 0.453 0.382 O
0.837 0.837 0.745 O
0.848 0.299 0.762 O
0.979 0.979 0.354 O
0.996 0.441 0.369 O
```

Summary:
* polymorph energy (0 for the lowest one): 114.8 meV/atom
* volume: 156.7 Å³/cell
* total magnetic moment: 7.00 μB/cell
* crystal system: monoclinic
* formation energy from the elements: -1197 meV/atom